{"formula": "Pr3Tl5", "functional": "PBE", "state": "optimized geometry", "lattice_angstrom": [[-3.189, -1.230, 5.858], [4.866, -4.724, -0.081], [6.583, 6.696, 4.989]], "species": ["Pr", "Pr", "Pr", "Pr", "Pr", "Pr", "Tl", "Tl", "Tl", "Tl", "Tl", "Tl", "Tl", "Tl", "Tl", "Tl"], "fractional_positions": [[0.629, 0.629, 0.250], [0.371, 0.371, 0.750], [0.798, 0.202, 0.500], [0.798, 0.202, 0.000], [0.202, 0.798, 0.500], [0.202, 0.798, 0.000], [0.004, 0.004, 0.250], [0.996, 0.996, 0.750], [0.307, 0.307, 0.053], [0.693, 0.693, 0.947], [0.307, 0.307, 0.447], [0.693, 0.693, 0.553], [0.060, 0.508, 0.250], [0.492, 0.940, 0.750], [0.940, 0.492, 0.750], [0.508, 0.060, 0.250]], "density_g_cm3": 10.058, "energy_ev_per_atom": -3.6507, "e_form_ev_per_atom": -0.381, "spacegroup": "Cmcm"}